A plane-wave DFT calculation with PBE with a Hubbard U was carried out for a relaxed BaMg14CoO16 crystal.

Values from the calculation:
- symmetry = P4/mmm, No. 123
- formation energy from the elements (eV per formula unit) = -87.10
- energy relative to the lowest polymorph listed for this composition (kcal/mol of atoms) = 0.48

Lattice parameters (Å, degrees): 8.7763 8.7763 4.4279 90.00 90.00 90.00
Atoms (fractional coordinates):
Ba1 0.0000 0.0000 0.0000
Mg1 0.0000 0.2685 0.5000
Mg2 0.0000 0.5000 0.0000
Mg3 0.0000 0.7315 0.5000
Mg4 0.2540 0.5000 0.5000
Mg5 0.2608 0.2608 0.0000
Mg6 0.2608 0.7392 0.0000
Mg7 0.2685 0.0000 0.5000
Mg8 0.5000 0.0000 0.0000
Mg9 0.5000 0.2540 0.5000
Mg10 0.5000 0.7460 0.5000
Mg11 0.7315 0.0000 0.5000
Mg12 0.7392 0.2608 0.0000
Mg13 0.7392 0.7392 0.0000
Mg14 0.7460 0.5000 0.5000
Co1 0.5000 0.5000 0.0000
O1 0.0000 0.0000 0.5000
O2 0.0000 0.2797 0.0000
O3 0.0000 0.5000 0.5000
O4 0.0000 0.7203 0.0000
O5 0.2505 0.2505 0.5000
O6 0.2505 0.7495 0.5000
O7 0.2508 0.5000 0.0000
O8 0.2797 0.0000 0.0000
O9 0.5000 0.0000 0.5000
O10 0.5000 0.2508 0.0000
O11 0.5000 0.5000 0.5000
O12 0.5000 0.7492 0.0000
O13 0.7203 0.0000 0.0000
O14 0.7492 0.5000 0.0000
O15 0.7495 0.2505 0.5000
O16 0.7495 0.7495 0.5000